--- 1 ---
Compound: Mg16UAl12
Source: Materials Project
Functional: PBE-GGA
Structure: optimized geometry

The mass density is 2.71 g/cm³.

The space group is I-43m (No. 217) and the conventional cell measures 10.519, 10.519 and 10.519 Å, with angles of 90.00, 90.00 and 90.00 degrees. The asymmetric unit holds Mg at (0.036, 0.358, 0.642), Mg at (0.180, 0.180, 0.180), U at (0.000, 0.000, 0.000) and Al at (0.090, 0.090, 0.726).

=====

--- 2 ---
Compound: Mg16UAl12
Source: Materials Project
Functional: PBE-GGA
Structure: optimized geometry

The mass density is 2.68 g/cm³.

The space group is R3m (No. 160, hexagonal axes) and the conventional cell measures 15.2165, 15.2165 and 8.7968 Å, with angles of 90.00, 90.00 and 120.00 degrees. The asymmetric unit holds Mg at (0.0000, 0.0000, 0.0000), Mg at (0.0290, 0.3590, 0.3633), Mg at (0.1059, 0.5530, 0.5509), Mg at (0.1112, 0.2223, 0.4984), Mg at (0.1987, 0.3973, 0.1200), U at (0.0000, 0.0000, 0.3735), Al at (0.0009, 0.1800, 0.1881), Al at (0.1198, 0.0599, 0.6872) and Al at (0.2130, 0.4261, 0.5968).

=====

Computed energies relative to the best structure, in meV per atom: 1 0; 2 18

=====

--- 1 ---
Compound: Mg16Al12V
Source: Materials Project
Functional: PBE-GGA
Structure: optimized geometry

The mass density is 2.21 g/cm³.

The space group is I-43m (No. 217) and the conventional cell measures 10.472, 10.472 and 10.472 Å, with angles of 90.00, 90.00 and 90.00 degrees. The asymmetric unit holds Mg at (0.041, 0.357, 0.643), Mg at (0.170, 0.170, 0.170), Al at (0.090, 0.090, 0.726) and V at (0.000, 0.000, 0.000).

=====

--- 2 ---
Compound: Mg16Al12V
Source: Materials Project
Functional: PBE-GGA
Structure: optimized geometry

The mass density is 2.21 g/cm³.

The space group is R3m (No. 160, hexagonal axes) and the conventional cell measures 14.6485, 14.6485 and 9.2741 Å, with angles of 90.00, 90.00 and 120.00 degrees. The asymmetric unit holds Mg at (0.0000, 0.0000, 0.0000), Mg at (0.0116, 0.3061, 0.2985), Mg at (0.0687, 0.5344, 0.2095), Mg at (0.1996, 0.0998, 0.5025), Mg at (0.2162, 0.4325, 0.7730), Al at (0.0627, 0.1255, 0.2921), Al at (0.0841, 0.5420, 0.7226), Al at (0.1519, 0.4845, 0.4749) and V at (0.0000, 0.0000, 0.6914).

=====

Computed energies relative to the best structure, in meV per atom: 1 6; 2 0

=====

--- 1 ---
Compound: YMg14Al
Source: Materials Project
Functional: PBE-GGA
Structure: optimized geometry

The mass density is 2.04 g/cm³.

The space group is P-6m2 (No. 187) and the conventional cell measures 6.4319, 6.4319 and 10.3413 Å, with angles of 90.00, 90.00 and 120.00 degrees. The asymmetric unit holds Y at (0.0000, 0.0000, 0.0000), Mg at (0.0090, 0.5045, 0.0000), Mg at (0.1656, 0.3311, 0.2565), Mg at (0.5015, 0.0030, 0.5000), Mg at (0.6667, 0.3333, 0.2438) and Al at (0.0000, 0.0000, 0.5000).

=====

--- 2 ---
Compound: YMg14Al
Source: Materials Project
Functional: PBE-GGA
Structure: optimized geometry

The mass density is 2.05 g/cm³.

The space group is Amm2 (No. 38) and the conventional cell measures 10.358, 6.341 and 11.256 Å, with angles of 90.00, 90.00 and 90.00 degrees. The asymmetric unit holds Y at (0.000, 0.000, 0.000), Mg at (0.000, 0.245, 0.250), Mg at (0.243, 0.000, 0.662), Mg at (0.252, 0.247, 0.413), Mg at (0.255, 0.000, 0.165), Mg at (0.500, 0.000, 0.498), Mg at (0.500, 0.000, 0.997), Mg at (0.500, 0.248, 0.747) and Al at (0.000, 0.000, 0.490).

=====

Computed energies relative to the best structure, in meV per atom: 1 18; 2 0

=====

--- 1 ---
Compound: AlS2NO20
Source: Materials Project
Functional: PBE-GGA
Structure: optimized geometry

The mass density is 1.86 g/cm³.

The space group is Pa-3 (No. 205) and the conventional cell measures 11.486, 11.486 and 11.486 Å, with angles of 90.00, 90.00 and 90.00 degrees. The asymmetric unit holds Al at (0.000, 0.000, 0.000), S at (0.206, 0.706, 0.794), N at (0.000, 0.000, 0.500), O at (0.009, 0.168, 0.981), O at (0.013, 0.084, 0.242), O at (0.090, 0.697, 0.738) and O at (0.219, 0.219, 0.219).

=====

--- 2 ---
Compound: AlS2NO20
Source: Materials Project
Functional: PBE-GGA
Structure: optimized geometry

The mass density is 1.78 g/cm³.

The space group is Pa-3 (No. 205) and the conventional cell measures 11.664, 11.664 and 11.664 Å, with angles of 90.00, 90.00 and 90.00 degrees. The asymmetric unit holds Al at (0.000, 0.000, 0.000), S at (0.171, 0.671, 0.829), N at (0.000, 0.000, 0.500), O at (0.012, 0.526, 0.334), O at (0.033, 0.222, 0.896), O at (0.052, 0.717, 0.826) and O at (0.245, 0.745, 0.755).

=====

Computed energies relative to the best structure, in meV per atom: 1 0; 2 10

=====

--- 1 ---
Compound: AlV4N3
Source: Materials Project
Functional: PBE-GGA
Structure: optimized geometry

The mass density is 5.62 g/cm³.

The space group is P6_3/mmc (No. 194) and the conventional cell measures 2.7987, 2.7987 and 23.7640 Å, with angles of 90.00, 90.00 and 120.00 degrees. The asymmetric unit holds Al at (0.3333, 0.6667, 0.2500), V at (0.3333, 0.6667, 0.0546), V at (0.3333, 0.6667, 0.6599), N at (0.0000, 0.0000, 0.0000) and N at (0.0000, 0.0000, 0.1085).

=====

--- 2 ---
Compound: AlV4N3
Source: Materials Project
Functional: PBE-GGA
Structure: optimized geometry

The mass density is 5.41 g/cm³.

The space group is P6_3/mmc (No. 194) and the conventional cell measures 2.9363, 2.9363 and 22.4151 Å, with angles of 90.00, 90.00 and 120.00 degrees. The asymmetric unit holds Al at (0.3333, 0.6667, 0.2500), V at (0.0000, 0.0000, 0.1513), V at (0.3333, 0.6667, 0.0556), N at (0.0000, 0.0000, 0.0000) and N at (0.3333, 0.6667, 0.6076).

=====

Computed energies relative to the best structure, in meV per atom: 1 0; 2 17